# VPH6C2N3O7

Crystalline VPH6C2N3O7 at its relaxed geometry (PBE with a Hubbard U, Materials Project).

a b c (Å): 6.2722 8.3023 9.1647
angles (deg): 68.04 70.83 78.51
With the nearest neighbours (Å) after each atom.
Sites, in units of the cell vectors:
V: 0.1631 0.0736 0.1536  1 O 1.60
V: 0.8369 0.9264 0.8464  1 O 1.60
P: 0.3277 0.8476 0.9086  4 O 1.48-1.59
P: 0.6723 0.1524 0.0914  4 O 1.48-1.59
H: 0.1554 0.5526 0.5908  1 N 1.02
H: 0.2029 0.3360 0.7084  1 N 1.01
H: 0.2784 0.6312 0.3002  1 N 1.02
H: 0.3922 0.1312 0.5884  1 N 1.02
H: 0.4354 0.4765 0.2079  1 N 1.03
H: 0.4700 0.1854 0.3754  1 N 1.02
H: 0.5300 0.8146 0.6246  1 N 1.02
H: 0.5646 0.5235 0.7921  1 N 1.03
H: 0.6078 0.8688 0.4116  1 N 1.02
H: 0.7216 0.3688 0.6998  1 N 1.02
H: 0.7971 0.6640 0.2916  1 N 1.01
H: 0.8446 0.4474 0.4092  1 N 1.02
C: 0.0260 0.9004 0.5217  2 O 1.25-1.28
C: 0.3299 0.3886 0.4600  3 N 1.33-1.35
C: 0.6701 0.6114 0.5400  3 N 1.33-1.35
C: 0.9740 0.0996 0.4783  2 O 1.25-1.28
N: 0.2214 0.4288 0.5964  2 H 1.01-1.02
N: 0.3501 0.5072 0.3123  2 H 1.02-1.03
N: 0.4222 0.2239 0.4755  2 H 1.02
N: 0.5778 0.7761 0.5245  2 H 1.02
N: 0.6499 0.4928 0.6877  2 H 1.02-1.03
N: 0.7786 0.5712 0.4036  2 H 1.01-1.02
O: 0.0241 0.1911 0.3266  1 C 1.28
O: 0.1134 0.8409 0.4059  1 C 1.25
O: 0.1499 0.9610 0.8131  1 P 1.58
O: 0.1930 0.2407 0.9899  1 V 1.60
O: 0.2682 0.8887 0.0739  1 P 1.59
O: 0.3413 0.6577 0.9399  1 P 1.48
O: 0.4441 0.0665 0.2050  1 P 1.59
O: 0.5559 0.9335 0.7950  1 P 1.59
O: 0.6587 0.3423 0.0601  1 P 1.48
O: 0.7318 0.1113 0.9261  1 P 1.59
O: 0.8070 0.7593 0.0101  1 V 1.60
O: 0.8501 0.0390 0.1869  1 P 1.58
O: 0.8866 0.1591 0.5941  1 C 1.25
O: 0.9759 0.8089 0.6734  1 C 1.28

## Properties
V   10.413 Å³/atom
Formation enthalpy at 0 K   -2497 kJ/mol of formula units
Symmetry   P-1

# CoH24C4S4N8Cl2O8

Crystalline CoH24C4S4N8Cl2O8 at its relaxed geometry (PBE with a Hubbard U, Materials Project).

a b c (Å): 8.5953 8.9873 9.1461
angles (deg): 74.35 76.70 64.91
With the nearest neighbours (Å) after each atom.
Sites, in units of the cell vectors:
Co: 0.0000 0.0000 0.0000  4 N 2.25-2.27, 2 Cl 2.40
H: 0.1322 0.2449 0.4442  1 C 1.10
H: 0.1502 0.9143 0.2893  1 N 1.03
H: 0.1746 0.6238 0.0221  1 N 1.03
H: 0.1764 0.4601 0.7021  1 C 1.10
H: 0.1781 0.1719 0.0387  1 N 1.02
H: 0.1861 0.8633 0.7496  1 N 1.02
H: 0.2313 0.3108 0.2530  1 C 1.10
H: 0.2665 0.6137 0.5929  1 C 1.10
H: 0.3238 0.9797 0.0414  1 N 1.03
H: 0.3316 0.8013 0.8667  1 N 1.03
H: 0.3524 0.2325 0.4118  1 C 1.10
H: 0.3989 0.3932 0.6145  1 C 1.10
H: 0.6011 0.6068 0.3855  1 C 1.10
H: 0.6476 0.7675 0.5882  1 C 1.10
H: 0.6684 0.1987 0.1333  1 N 1.03
H: 0.6762 0.0203 0.9586  1 N 1.03
H: 0.7335 0.3863 0.4071  1 C 1.10
H: 0.7687 0.6892 0.7470  1 C 1.10
H: 0.8139 0.1367 0.2504  1 N 1.02
H: 0.8219 0.8281 0.9613  1 N 1.02
H: 0.8236 0.5399 0.2979  1 C 1.10
H: 0.8254 0.3762 0.9779  1 N 1.03
H: 0.8498 0.0857 0.7107  1 N 1.03
H: 0.8678 0.7551 0.5558  1 C 1.10
C: 0.2519 0.2238 0.3634  3 H 1.10
C: 0.2919 0.4907 0.6689  3 H 1.10
C: 0.7081 0.5093 0.3311  3 H 1.10
C: 0.7481 0.7762 0.6366  3 H 1.10
S: 0.3325 0.0172 0.3303  2 O 1.45
S: 0.3614 0.4918 0.8368  2 O 1.45
S: 0.6386 0.5082 0.1632  2 O 1.45
S: 0.6675 0.9828 0.6697  2 O 1.45
N: 0.1758 0.0214 0.2452  1 H 1.03
N: 0.1955 0.6541 0.9041  1 H 1.03
N: 0.1982 0.0485 0.0821  2 H 1.02-1.03
N: 0.2081 0.8139 0.8613  2 H 1.02-1.03
N: 0.7919 0.1861 0.1387  2 H 1.02-1.03
N: 0.8018 0.9515 0.9179  2 H 1.02-1.03
N: 0.8045 0.3459 0.0959  1 H 1.03
N: 0.8242 0.9786 0.7548  1 H 1.03
Cl: 0.0105 0.7782 0.2180  2 H 2.32-2.38, 1 Co 2.40
Cl: 0.9895 0.2218 0.7820  2 H 2.32-2.38, 1 Co 2.40
O: 0.3308 0.9010 0.4756  1 S 1.45
O: 0.3609 0.3445 0.9510  1 S 1.45
O: 0.4827 0.4725 0.2082  1 S 1.45
O: 0.4918 0.9887 0.2245  1 S 1.45
O: 0.5082 0.0113 0.7755  1 S 1.45
O: 0.5173 0.5275 0.7918  1 S 1.45
O: 0.6391 0.6555 0.0490  1 S 1.45
O: 0.6692 0.0990 0.5244  1 S 1.45

## Properties
V   11.974 Å³/atom
Formation enthalpy at 0 K   -2360 kJ/mol of formula units
Symmetry   P-1

# Ca3Co2Rh2O12

Crystalline Ca3Co2Rh2O12 at its relaxed geometry (PBE with a Hubbard U, Materials Project).

a b c (Å): 6.3337 6.3741 6.4759
angles (deg): 92.56 93.17 93.42
With the nearest neighbours (Å) after each atom.
Sites, in units of the cell vectors:
Ca: 0.0000 0.0000 0.0000  6 O 2.34-2.52
Ca: 0.2471 0.3750 0.3652  8 O 2.37-2.64
Ca: 0.6239 0.6208 0.7373  8 O 2.39-2.65
Co: 0.1291 0.5024 0.8706  6 O 1.86-1.92
Co: 0.6238 0.0284 0.3838  4 O 1.92-2.10
Rh: 0.3921 0.7590 0.1249  6 O 1.89-2.02
Rh: 0.8742 0.2428 0.6190  6 O 1.92-2.02
O: 0.0872 0.6520 0.1279  1 Co 1.92, 1 Rh 2.01
O: 0.1768 0.2485 0.7246  1 Co 1.89, 1 Rh 2.00
O: 0.2785 0.7602 0.8268  1 Co 1.89, 1 Rh 2.02
O: 0.3473 0.0470 0.2106  1 Rh 1.94, 1 Co 2.04
O: 0.3876 0.4576 0.0207  1 Co 1.90, 1 Rh 2.01
O: 0.4745 0.7201 0.4111  1 Rh 1.93, 1 Co 2.15
O: 0.5735 0.2887 0.5271  1 Co 1.92, 1 Rh 2.01
O: 0.6735 0.8306 0.0603  1 Rh 1.89
O: 0.7848 0.9552 0.6609  1 Rh 1.92, 1 Co 2.10
O: 0.8737 0.3546 0.9149  1 Co 1.86, 1 Rh 2.01
O: 0.9034 0.1519 0.3199  1 Co 1.97, 1 Rh 2.02
O: 0.9786 0.5432 0.6120  1 Co 1.92, 1 Rh 1.99

## Properties
V   13.699 Å³/atom
Formation enthalpy at 0 K   -2967 kJ/mol of formula units
Symmetry   P1

Q: Which formula does entry 2 have?
A: CoH24C4S4N8Cl2O8